# 1
First-principles (PBE+U) data for a relaxed structure of Mn12O7F17, as listed in the Materials Project.

Polymorph energy (0 for the lowest one) in meV per atom: 25
Total magnetic moment in μB per formula unit: 53.0
Calculated volume in Å³ per atom: 12.3
ΔH_f (0 K) in kJ/mol of formula units: -8865

a b c (Å): 4.8156 5.7866 15.9095
angles (deg): 89.20 88.77 86.25
Last column: nearest neighbours and their distance in Å.
Space group P1 (No. 1)
Asymmetric unit:
Mn 0.0000 0.0000 0.0000 x1  2 O 2.02, 4 F 2.04-2.23
Mn 0.0012 0.0063 0.3387 x1  2 O 1.97-2.01, 4 F 2.08-2.16
Mn 0.4820 0.8236 0.1813 x1  1 O 2.04, 5 F 2.06-2.24
Mn 0.4905 0.4975 0.3406 x1  2 O 1.99-2.00, 3 F 2.04-2.19
Mn 0.4936 0.8024 0.5082 x1  1 O 2.01, 5 F 2.05-2.21
Mn 0.5002 0.8143 0.8406 x1  2 O 1.97-1.99, 3 F 1.98-2.11
Mn 0.5011 0.5030 0.0043 x1  2 O 1.95-2.01, 3 F 2.04-2.14
Mn 0.5407 0.5081 0.6729 x1  3 O 1.89-2.11, 1 F 2.03
Mn 0.9490 0.9972 0.6763 x1  2 O 1.91-1.94, 3 F 2.06-2.12
Mn 0.9578 0.3158 0.5021 x1  2 O 1.96-2.03, 4 F 2.10-2.18
Mn 0.9767 0.3195 0.1592 x1  5 F 2.06-2.23, 1 O 2.06
Mn 0.9986 0.3206 0.8295 x1  5 F 2.06-2.22, 1 O 2.06
O 0.2719 0.7712 0.2918 x1  3 Mn 1.97-2.04
O 0.2890 0.7721 0.9483 x1  3 Mn 1.99-2.02
O 0.7056 0.5342 0.5646 x1  3 Mn 1.89-2.01
O 0.7174 0.7813 0.7344 x1  3 Mn 1.94-2.11
O 0.7646 0.2667 0.7254 x1  3 Mn 1.90-2.06
O 0.7676 0.2688 0.0498 x1  3 Mn 1.95-2.06
O 0.7720 0.2721 0.3908 x1  3 Mn 1.99-2.03
F 0.1869 0.2403 0.6108 x1  2 Mn 2.10-2.12
F 0.2225 0.0466 0.4503 x1  3 Mn 2.08-2.11
F 0.2269 0.0370 0.1070 x1  3 Mn 2.06-2.13
F 0.2327 0.0319 0.7819 x1  3 Mn 1.98-2.21
F 0.2334 0.2642 0.2734 x1  3 Mn 2.16-2.23
F 0.2370 0.7598 0.6235 x1  3 Mn 2.06-2.21
F 0.2428 0.2769 0.9409 x1  3 Mn 2.14-2.23
F 0.2650 0.5400 0.4496 x1  3 Mn 2.04-2.18
F 0.2798 0.5429 0.1147 x1  3 Mn 2.04-2.24
F 0.2938 0.5358 0.7775 x1  3 Mn 2.03-2.21
F 0.7225 0.5374 0.2332 x1  3 Mn 2.04-2.13
F 0.7365 0.7644 0.0682 x1  3 Mn 2.17-2.22
F 0.7370 0.5493 0.8964 x1  3 Mn 2.05-2.06
F 0.7414 0.7696 0.3963 x1  3 Mn 2.10-2.25
F 0.7479 0.0324 0.5589 x1  3 Mn 2.05-2.16
F 0.7779 0.0380 0.8922 x1  3 Mn 2.04-2.22
F 0.7807 0.0401 0.2277 x1  3 Mn 2.08-2.19

---

# 2
First-principles (PBE+U) data for a relaxed structure of LiMnF4, as listed in the Materials Project.

Total magnetic moment in μB per formula unit: 4.0
Calculated volume in Å³ per atom: 12.3
ΔH_f (0 K) in kJ/mol of formula units: -1678

a b c (Å): 4.7096 9.8326 7.7721
angles (deg): 90.00 124.90 90.00
Last column: nearest neighbours and their distance in Å.
Space group P2_1/c (No. 14)
Asymmetric unit:
Li 0.1942 0.2163 0.2315 x4  4 F 1.98-2.07
Mn 0.0000 0.0000 0.5000 x2  4 F 1.86-1.91
Mn 0.5000 0.0000 0.0000 x2  4 F 1.85-1.94
F 0.0279 0.0881 0.7285 x4  1 Mn 1.91, 1 Li 2.07
F 0.1975 0.1560 0.4758 x4  1 Mn 1.86, 1 Li 1.98
F 0.2772 0.6560 0.4976 x4  1 Mn 1.85, 1 Li 1.98
F 0.4865 0.0745 0.2257 x4  1 Mn 1.94, 1 Li 1.98

---

# 3
First-principles (PBE+U) data for a relaxed structure of Ba2V3O8, as listed in the Materials Project.

Total magnetic moment in μB per formula unit: 3.0
Calculated volume in Å³ per atom: 14.1
ΔH_f (0 K) in kJ/mol of formula units: -3204

a b c (Å): 3.8830 3.8830 12.1658
angles (deg): 90.00 90.00 90.00
Last column: nearest neighbours and their distance in Å.
Space group P4/mmm (No. 123)
Asymmetric unit:
Ba 0.0000 0.0000 0.1765 x2  12 O 2.75-2.90
V 0.5000 0.5000 0.0000 x1  6 O 1.94-2.15
V 0.5000 0.5000 0.3338 x2  5 O 1.91-1.95
O 0.0000 0.5000 0.0000 x2  2 V 1.94
O 0.0000 0.5000 0.3453 x4  2 V 1.95
O 0.5000 0.5000 0.1764 x2  1 V 1.91

---

# 4
First-principles (PBE+U) data for a relaxed structure of Li4Mn3Fe3W2O16, as listed in the Materials Project.

Polymorph energy (0 for the lowest one) in meV per atom: 47
Total magnetic moment in μB per formula unit: 26.0
Calculated volume in Å³ per atom: 10.5
ΔH_f (0 K) in kJ/mol of formula units: -5433

a b c (Å): 10.3421 5.8567 9.7577
angles (deg): 90.00 92.36 90.00
Last column: nearest neighbours and their distance in Å.
Space group Cm (No. 8)
Asymmetric unit:
Li 0.0000 0.0000 0.0000 x2  4 O 1.87-2.04
Li 0.0016 0.0000 0.4981 x2  4 O 1.84-2.00
Li 0.1586 0.5000 0.4135 x2  4 O 2.00-2.01
Li 0.3254 0.0000 0.9199 x2  4 O 1.94-2.01
Mn 0.3263 0.5000 0.7205 x2  2 O 1.88
Mn 0.4085 0.2474 0.2256 x4  4 O 1.92-2.02
Fe 0.0814 0.2630 0.7290 x4  5 O 1.97-2.21
Fe 0.1667 0.0000 0.2220 x2  6 O 1.92-1.97
W 0.1605 0.5000 0.9983 x2  6 O 1.90-2.04
W 0.3187 0.0000 0.4985 x2  5 O 1.86-2.00
O 0.0023 0.0000 0.3091 x2  1 Li 1.84, 2 Mn 1.93, 1 Fe 1.93
O 0.0118 0.5000 0.8726 x2  1 W 1.93, 1 Li 2.00, 2 Fe 2.12
O 0.1015 0.2506 0.1026 x4  1 W 1.90, 1 Fe 1.97, 1 Li 2.04
O 0.1672 0.5000 0.6195 x2  1 Mn 1.88, 2 Fe 1.98, 1 Li 2.01
O 0.1703 0.0000 0.6008 x2  1 W 1.86, 1 Li 1.98
O 0.2394 0.2810 0.8622 x4  1 Li 1.94, 1 W 2.04, 1 Fe 2.05, 1 Mn 2.11
O 0.2442 0.2121 0.3555 x4  1 Fe 1.95, 1 Li 2.00, 1 W 2.00, 1 Mn 2.17
O 0.3257 0.0000 0.1263 x2  1 Fe 1.92, 2 Mn 1.92, 1 Li 2.01
O 0.3346 0.5000 0.1047 x2  2 Mn 2.02, 1 Li 2.03, 1 W 2.04
O 0.4073 0.2460 0.5883 x4  1 W 1.90, 1 Li 2.00
O 0.4720 0.0000 0.3509 x2  2 Mn 1.99, 1 Li 2.00, 1 W 2.18
O 0.4912 0.5000 0.8082 x2  1 Li 1.87, 1 Mn 1.88, 2 Fe 1.97